# 1
# CsTmO2

A geometry-optimized CsTmO2 structure (r²SCAN, Materials Project).

Properties
The calculated total energy comes out at -21.00 eV per atom. Its space-group type is No. 194. The theoretical density comes out at 7.80 g/cm3. The formation energy comes out at -2.96 eV/atom.

Cell lengths 3.4723, 3.4723, 13.6119 Å; angles 90.00, 90.00, 120.00 degrees
Fractional positions:
Cs: 0.3333 0.6666 0.7500
Cs: 0.6667 0.3333 0.2500
Tm: 0.0000 0.9999 0.0000
Tm: 0.0000 0.0001 0.5000
O: 0.3333 0.6667 0.4191
O: 0.3333 0.6666 0.0809
O: 0.6667 0.3334 0.5809
O: 0.6667 0.3333 0.9191

# 2
# Pr2Co2I

A geometry-optimized Pr2Co2I structure (r²SCAN, Materials Project).

Properties
The calculated total energy comes out at -22.55 eV per atom. Its space-group type is No. 194. The theoretical density comes out at 6.84 g/cm3. The formation energy comes out at -0.58 eV/atom.

Cell lengths 4.0743, 4.0743, 17.7728 Å; angles 90.00, 90.00, 120.00 degrees
Fractional positions:
Pr: 0.0000 0.0000 0.1065
Pr: 0.0000 0.0000 0.3935
Pr: 0.0000 0.0000 0.8935
Pr: 0.0000 0.0000 0.6065
Co: 0.3333 0.6667 0.0022
Co: 0.6667 0.3333 0.9978
Co: 0.3333 0.6667 0.4978
Co: 0.6667 0.3333 0.5022
I: 0.3333 0.6667 0.7500
I: 0.6667 0.3333 0.2500

# 3
# Te2Os

A geometry-optimized Te2Os structure (r²SCAN, Materials Project).

Properties
The calculated total energy comes out at -34.77 eV per atom. Its space-group type is No. 205. The theoretical density comes out at 11.08 g/cm3. The formation energy comes out at -0.16 eV/atom.

Cell lengths 6.4390, 6.4390, 6.4390 Å; angles 90.00, 90.00, 90.00 degrees
Fractional positions:
Te: 0.3729 0.1271 0.8729
Te: 0.1271 0.8729 0.3729
Te: 0.8729 0.3729 0.1271
Te: 0.6271 0.6271 0.6271
Te: 0.3729 0.3729 0.3729
Te: 0.1271 0.6271 0.8729
Te: 0.8729 0.1271 0.6271
Te: 0.6271 0.8729 0.1271
Os: 0.0000 0.5000 0.5000
Os: 0.5000 0.5000 0.0000
Os: 0.5000 0.0000 0.5000
Os: 0.0000 0.0000 0.0000

# 4
# HoMn2O5

A geometry-optimized HoMn2O5 structure (r²SCAN, Materials Project).

Properties
The calculated total energy comes out at -14.30 eV per atom. Its space-group type is No. 55. The theoretical density comes out at 6.82 g/cm3. The formation energy comes out at -2.78 eV/atom.

Cell lengths 5.6728, 7.2096, 8.4500 Å; angles 90.00, 90.00, 90.00 degrees
Fractional positions:
Ho: 0.0000 0.1370 0.1708
Ho: 0.0000 0.8630 0.8292
Ho: 0.0000 0.6370 0.3292
Ho: 0.0000 0.3630 0.6708
Mn: 0.2538 0.0000 0.5000
Mn: 0.7462 0.5000 0.0000
Mn: 0.7462 0.0000 0.5000
Mn: 0.2538 0.5000 0.0000
Mn: 0.5000 0.4122 0.3489
Mn: 0.5000 0.5878 0.6511
Mn: 0.5000 0.9122 0.1511
Mn: 0.5000 0.0878 0.8489
O: 0.2705 0.0000 0.0000
O: 0.7295 0.5000 0.5000
O: 0.7295 0.0000 0.0000
O: 0.2705 0.5000 0.5000
O: 0.0000 0.1640 0.4431
O: 0.0000 0.8360 0.5569
O: 0.0000 0.6640 0.0569
O: 0.0000 0.3360 0.9431
O: 0.5000 0.1530 0.4326
O: 0.5000 0.8470 0.5674
O: 0.5000 0.6530 0.0674
O: 0.5000 0.3470 0.9326
O: 0.2426 0.3933 0.2064
O: 0.2426 0.6067 0.7936
O: 0.7574 0.8933 0.2936
O: 0.7574 0.1067 0.7064
O: 0.7574 0.6067 0.7936
O: 0.7574 0.3933 0.2064
O: 0.2426 0.1067 0.7064
O: 0.2426 0.8933 0.2936

# 5
# URu2Rh

A geometry-optimized URu2Rh structure (r²SCAN, Materials Project).

Properties
The calculated total energy comes out at -39.22 eV per atom. Its space-group type is No. 123. The theoretical density comes out at 14.35 g/cm3. The formation energy comes out at -0.49 eV/atom.

Cell lengths 4.0099, 4.0099, 3.9074 Å; angles 90.00, 90.00, 90.00 degrees
Fractional positions:
U: 0.0000 0.0000 0.0000
Ru: 0.0000 0.5000 0.5000
Ru: 0.5000 0.0000 0.5000
Rh: 0.5000 0.5000 0.0000

# 6
# SiO2

A geometry-optimized SiO2 structure (r²SCAN, Materials Project).

Properties
The calculated total energy comes out at -9.90 eV per atom. Its space-group type is No. 141. The theoretical density comes out at 1.55 g/cm3. The formation energy comes out at -2.99 eV/atom.

Cell lengths 9.9300, 9.9300, 12.5562 Å; angles 113.27, 113.27, 90.01 degrees
Fractional positions:
Si: 0.0439 0.1075 0.3907
Si: 0.8925 0.6530 0.1094
Si: 0.0439 0.7830 0.3908
Si: 0.7830 0.3469 0.8907
Si: 0.2170 0.6531 0.1093
Si: 0.7830 0.0439 0.8908
Si: 0.1075 0.3470 0.8906
Si: 0.1075 0.0439 0.8907
Si: 0.3469 0.7830 0.3907
Si: 0.3470 0.1075 0.3906
Si: 0.9561 0.8925 0.6093
Si: 0.6531 0.2170 0.6093
Si: 0.2170 0.9561 0.1092
Si: 0.8925 0.9561 0.1093
Si: 0.6530 0.8925 0.6094
Si: 0.9561 0.2170 0.6092
O: 0.7391 0.2066 0.9132
O: 0.3479 0.9486 0.3974
O: 0.0498 0.9486 0.3974
O: 0.6521 0.0514 0.6026
O: 0.0514 0.9502 0.1026
O: 0.7933 0.8262 0.5870
O: 0.9486 0.0498 0.8974
O: 0.2210 0.5000 0.9999
O: 0.5000 0.2210 0.4999
O: 0.9191 0.6689 0.2501
O: 0.7934 0.2609 0.5868
O: 0.9502 0.0514 0.6026
O: 0.9486 0.3479 0.8974
O: 0.0514 0.6521 0.1026
O: 0.3311 0.0808 0.2499
O: 0.0808 0.3311 0.7499
O: 0.0001 0.2209 0.4999
O: 0.2609 0.7934 0.0868
O: 0.6690 0.3310 0.7500
O: 0.9999 0.7790 0.5001
O: 0.2066 0.7391 0.4132
O: 0.8262 0.7934 0.0870
O: 0.3310 0.6690 0.2500
O: 0.0809 0.9191 0.7500
O: 0.1738 0.2066 0.9130
O: 0.7790 0.9999 0.0001
O: 0.9191 0.0809 0.2500
O: 0.6689 0.9192 0.7501
O: 0.2067 0.1738 0.4130
O: 0.2210 0.0001 0.9999
O: 0.5000 0.7790 0.5001
O: 0.7790 0.5000 0.0001

# 7
# Gd2AgHg

A geometry-optimized Gd2AgHg structure (r²SCAN, Materials Project).

Properties
The calculated total energy comes out at -39.77 eV per atom. Its space-group type is No. 225. The theoretical density comes out at 10.27 g/cm3. The formation energy comes out at -0.39 eV/atom.

Cell lengths 5.2228, 5.2228, 5.2228 Å; angles 60.00, 60.00, 60.00 degrees
Fractional positions:
Gd: 0.2500 0.2500 0.2500
Gd: 0.7500 0.7500 0.7500
Ag: 0.5000 0.5000 0.5000
Hg: 0.0000 0.0000 0.0000

# 8
# ZrCo3B2

A geometry-optimized ZrCo3B2 structure (r²SCAN, Materials Project).

Properties
The calculated total energy comes out at -13.35 eV per atom. Its space-group type is No. 166. The energy above the lowest structure with this stoichiometry is 0 meV per atom. The theoretical density comes out at 7.98 g/cm3. The formation energy comes out at -0.49 eV/atom.

Cell lengths 5.6745, 5.6744, 5.6744 Å; angles 94.64, 94.64, 94.64 degrees
Fractional positions:
Zr: 0.3297 0.3297 0.3297
Zr: 0.6703 0.6703 0.6703
Zr: 0.0000 0.0000 0.0000
Co: 0.6935 0.6934 0.1957
Co: 0.3065 0.3066 0.8043
Co: 0.3065 0.8043 0.3066
Co: 0.1957 0.6934 0.6934
Co: 0.6935 0.1957 0.6934
Co: 0.0000 0.0000 0.5000
Co: 0.8043 0.3066 0.3066
Co: 0.0000 0.5000 0.0000
Co: 0.5000 0.0000 0.0000
B: 0.3750 0.6250 0.0000
B: 0.0000 0.6250 0.3750
B: 0.0000 0.3750 0.6250
B: 0.6250 0.3750 0.0000
B: 0.6250 0.0000 0.3750
B: 0.3750 0.0000 0.6250

# 9
# CsNa2Ge17

A geometry-optimized CsNa2Ge17 structure (r²SCAN, Materials Project).

Properties
The calculated total energy comes out at -13.48 eV per atom. Its space-group type is No. 227. The theoretical density comes out at 5.00 g/cm3. The formation energy comes out at -0.08 eV/atom.

Cell lengths 10.9949, 10.9949, 10.9949 Å; angles 60.00, 60.00, 60.00 degrees
Fractional positions:
Cs: 0.0000 0.0000 0.0000
Cs: 0.2500 0.2500 0.2500
Na: 0.1250 0.6250 0.6250
Na: 0.6250 0.1250 0.6250
Na: 0.6250 0.6250 0.1250
Na: 0.6250 0.6250 0.6250
Ge: 0.5000 0.5000 0.5000
Ge: 0.7500 0.7500 0.7500
Ge: 0.7776 0.4075 0.4075
Ge: 0.4075 0.7776 0.4075
Ge: 0.4075 0.4075 0.7776
Ge: 0.4075 0.4075 0.4075
Ge: 0.4724 0.8425 0.8425
Ge: 0.8425 0.4724 0.8425
Ge: 0.8425 0.8425 0.4724
Ge: 0.8425 0.8425 0.8425
Ge: 0.8595 0.2549 0.2549
Ge: 0.2549 0.8595 0.6306
Ge: 0.2549 0.6306 0.8595
Ge: 0.6306 0.2549 0.2549
Ge: 0.2549 0.2549 0.8595
Ge: 0.8595 0.6306 0.2549
Ge: 0.6306 0.8595 0.2549
Ge: 0.2549 0.2549 0.6306
Ge: 0.2549 0.8595 0.2549
Ge: 0.6306 0.2549 0.8595
Ge: 0.8595 0.2549 0.6306
Ge: 0.2549 0.6306 0.2549
Ge: 0.3905 0.9951 0.9951
Ge: 0.9951 0.3905 0.6194
Ge: 0.9951 0.6194 0.3905
Ge: 0.6194 0.9951 0.9951
Ge: 0.9951 0.9951 0.3905
Ge: 0.3905 0.6194 0.9951
Ge: 0.6194 0.3905 0.9951
Ge: 0.9951 0.9951 0.6194
Ge: 0.9951 0.3905 0.9951
Ge: 0.6194 0.9951 0.3905
Ge: 0.3905 0.9951 0.6194
Ge: 0.9951 0.6194 0.9951

# 10
# ErPt

A geometry-optimized ErPt structure (r²SCAN, Materials Project).

Properties
The calculated total energy comes out at -44.14 eV per atom. Its space-group type is No. 62. The theoretical density comes out at 14.18 g/cm3. The formation energy comes out at -1.43 eV/atom.

Cell lengths 4.4887, 6.8939, 5.4830 Å; angles 90.00, 90.00, 90.00 degrees
Fractional positions:
Er: 0.7500 0.8178 0.3588
Er: 0.2500 0.1822 0.6412
Er: 0.2500 0.6822 0.8588
Er: 0.7500 0.3178 0.1412
Pt: 0.7500 0.9565 0.8439
Pt: 0.2500 0.0435 0.1561
Pt: 0.2500 0.5435 0.3439
Pt: 0.7500 0.4565 0.6561

# 11
# YAlAu

A geometry-optimized YAlAu structure (r²SCAN, Materials Project).

Properties
The calculated total energy comes out at -26.77 eV per atom. Its space-group type is No. 62. The theoretical density comes out at 8.36 g/cm3. The formation energy comes out at -0.90 eV/atom.

Cell lengths 4.4594, 7.1806, 7.7599 Å; angles 90.00, 90.00, 90.00 degrees
Fractional positions:
Y: 0.2500 0.0068 0.2992
Y: 0.2500 0.5068 0.2008
Y: 0.7500 0.9932 0.7008
Y: 0.7500 0.4932 0.7992
Al: 0.2500 0.1772 0.9214
Al: 0.2500 0.6772 0.5786
Al: 0.7500 0.8228 0.0786
Al: 0.7500 0.3228 0.4214
Au: 0.2500 0.2877 0.5926
Au: 0.2500 0.7877 0.9074
Au: 0.7500 0.7122 0.4073
Au: 0.7500 0.2122 0.0927

# 12
# TmZn

A geometry-optimized TmZn structure (r²SCAN, Materials Project).

Properties
The calculated total energy comes out at -22.42 eV per atom. Its space-group type is No. 221. The theoretical density comes out at 9.12 g/cm3. The formation energy comes out at -0.40 eV/atom.

Cell lengths 3.4937, 3.4937, 3.4937 Å; angles 90.00, 90.00, 90.00 degrees
Fractional positions:
Tm: 0.0000 0.0000 0.0000
Zn: 0.5000 0.5000 0.5000

Q: theoretical density of number 8 (ZrCo3B2)?
A: 7.98 g/cm3

Q: Number 2 is which compound?
A: Pr2Co2I